1.
Compound: Li5Fe8B8O24
Source: the Materials Project database
Functional: PBE+U
Structure: relaxed

Unit cell a=5.2717 b=9.0438 c=11.4201 alpha=66.93 beta=77.73 gamma=89.82
Element x y z (fractional)
1 Li 0.0000 0.0000 0.0000
2 Li 0.0728 0.3721 0.2365
3 Li 0.2594 0.2260 0.4991
4 Li 0.5070 0.5047 0.9956
5 Li 0.8203 0.1281 0.7417
6 Fe 0.0228 0.3466 0.9661
7 Fe 0.0737 0.7283 0.2177
8 Fe 0.2815 0.9040 0.4708
9 Fe 0.3392 0.3057 0.7146
10 Fe 0.5173 0.8478 0.9704
11 Fe 0.5844 0.2071 0.2251
12 Fe 0.7716 0.4390 0.4594
13 Fe 0.8244 0.8008 0.7097
14 B 0.0191 0.6788 0.9621
15 B 0.0862 0.0611 0.2097
16 B 0.2838 0.5799 0.4647
17 B 0.3167 0.9663 0.7165
18 B 0.5401 0.1848 0.9606
19 B 0.5692 0.5491 0.2112
20 B 0.7783 0.0969 0.4726
21 B 0.8277 0.4672 0.7167
22 O 0.0352 0.4190 0.7767
23 O 0.0551 0.5894 0.4202
24 O 0.1193 0.7963 0.9931
25 O 0.1426 0.5379 0.9796
26 O 0.1962 0.8492 0.6931
27 O 0.1992 0.1076 0.7041
28 O 0.2829 0.0424 0.2731
29 O 0.2943 0.2047 0.9319
30 O 0.3913 0.4266 0.5000
31 O 0.4055 0.7013 0.4750
32 O 0.4495 0.4203 0.2007
33 O 0.4673 0.6955 0.1698
34 O 0.5408 0.1069 0.4387
35 O 0.5598 0.9456 0.7503
36 O 0.6413 0.2932 0.0017
37 O 0.6836 0.0653 0.9408
38 O 0.7080 0.6002 0.7140
39 O 0.7396 0.3635 0.6641
40 O 0.7857 0.6958 0.9195
41 O 0.7967 0.5274 0.2609
42 O 0.8870 0.9518 0.5205
43 O 0.9170 0.2396 0.4561
44 O 0.9749 0.9469 0.1820
45 O 0.9870 0.2181 0.1636

Calculated values
- total moment (μB per formula unit) = 35.00
- formation enthalpy at 0 K (eV/atom) = -2.274
- excess energy over the best structure of this formula in the dataset (meV per atom) = 17
- V (Å³ per cell) = 487.5
- space group = No. 1
- crystal system = triclinic
- calculated total energy (Ry/atom) = -0.518



2.
Compound: ZnFe8Ni3O16
Source: the Materials Project database
Functional: PBE+U
Structure: relaxed

Unit cell a=8.3641 b=8.3641 c=8.3618 alpha=90.05 beta=90.05 gamma=90.00
Element x y z (fractional)
1 Zn 0.0000 0.0000 0.0000
2 Zn 0.2446 0.2446 0.7429
3 Fe 0.1206 0.1206 0.3737
4 Fe 0.1207 0.6230 0.8744
5 Fe 0.2428 0.7480 0.2444
6 Fe 0.3707 0.8725 0.8738
7 Fe 0.3718 0.3718 0.3758
8 Fe 0.4942 0.9992 0.5084
9 Fe 0.4954 0.4954 0.0013
10 Fe 0.6205 0.8754 0.1239
11 Fe 0.6230 0.1207 0.8744
12 Fe 0.6233 0.6233 0.3731
13 Fe 0.7480 0.2428 0.2444
14 Fe 0.7485 0.7485 0.7436
15 Fe 0.8711 0.8711 0.3722
16 Fe 0.8725 0.3707 0.8738
17 Fe 0.8754 0.6205 0.1239
18 Fe 0.9992 0.4942 0.5084
19 Ni 0.1211 0.8733 0.6248
20 Ni 0.1228 0.3691 0.1228
21 Ni 0.3691 0.1228 0.1228
22 Ni 0.3728 0.6216 0.6228
23 Ni 0.6216 0.3728 0.6228
24 Ni 0.8733 0.1211 0.6248
25 O 0.1059 0.3878 0.8787
26 O 0.1063 0.8785 0.3717
27 O 0.1112 0.1112 0.6026
28 O 0.1138 0.6184 0.1136
29 O 0.1206 0.3634 0.3710
30 O 0.1241 0.6281 0.6395
31 O 0.1303 0.1303 0.1442
32 O 0.1386 0.8545 0.8706
33 O 0.3624 0.6301 0.8726
34 O 0.3634 0.1206 0.3710
35 O 0.3664 0.8686 0.6402
36 O 0.3691 0.3691 0.1384
37 O 0.3813 0.3813 0.6042
38 O 0.3869 0.6181 0.3726
39 O 0.3878 0.1059 0.8787
40 O 0.3882 0.8733 0.1111
41 O 0.6146 0.8809 0.8811
42 O 0.6184 0.1138 0.1136
43 O 0.6181 0.3869 0.3726
44 O 0.6201 0.6201 0.6074
45 O 0.6281 0.1241 0.6395
46 O 0.6301 0.3624 0.8726
47 O 0.6303 0.8626 0.3683
48 O 0.6317 0.6317 0.1337
49 O 0.8545 0.1386 0.8706
50 O 0.8567 0.8567 0.1371
51 O 0.8626 0.6303 0.3683
52 O 0.8686 0.3664 0.6402
53 O 0.8733 0.3882 0.1111
54 O 0.8746 0.8746 0.6081
55 O 0.8785 0.1063 0.3717
56 O 0.8809 0.6146 0.8811

Calculated values
- total moment (μB per formula unit) = 46.00
- formation enthalpy at 0 K (eV/atom) = -1.528
- V (Å³ per cell) = 585.0
- space group = No. 8
- crystal system = monoclinic
- calculated total energy (Ry/atom) = -0.451



3.
Compound: Cs3VF6
Source: the Materials Project database
Functional: PBE+U
Structure: relaxed

Unit cell a=6.8297 b=6.8297 c=6.8297 alpha=60.00 beta=60.00 gamma=60.00
Element x y z (fractional)
1 Cs 0.0000 0.0000 0.0000
2 Cs 0.2500 0.2500 0.2500
3 Cs 0.7500 0.7500 0.7500
4 V 0.5000 0.5000 0.5000
5 F 0.2941 0.2941 0.7059
6 F 0.2941 0.7059 0.2941
7 F 0.2941 0.7059 0.7059
8 F 0.7059 0.2941 0.2941
9 F 0.7059 0.2941 0.7059
10 F 0.7059 0.7059 0.2941

Calculated values
- formation enthalpy at 0 K (eV/atom) = -3.040
- V (Å³ per cell) = 225.3
- space group = No. 225
- crystal system = cubic
- calculated total energy (Ry/atom) = -0.362



4.
Compound: Li3Mn2P2C2O14
Source: the Materials Project database
Functional: PBE+U
Structure: relaxed

Unit cell a=9.4315 b=6.4659 c=10.0591 alpha=90.00 beta=117.54 gamma=90.00
Element x y z (fractional)
1 Li 0.0012 0.0000 0.2479
2 Li 0.0033 0.4740 0.2499
3 Li 0.4880 0.9483 0.2503
4 Li 0.5120 0.4483 0.7497
5 Li 0.9967 0.9740 0.7501
6 Li 0.9988 0.5000 0.7521
7 Mn 0.2346 0.2405 0.0653
8 Mn 0.2772 0.7416 0.4411
9 Mn 0.7228 0.2416 0.5589
10 Mn 0.7654 0.7405 0.9347
11 P 0.1496 0.7383 0.0690
12 P 0.3445 0.2381 0.4223
13 P 0.6555 0.7381 0.5777
14 P 0.8504 0.2383 0.9310
15 C 0.1668 0.7297 0.6176
16 C 0.3289 0.2423 0.8774
17 C 0.6711 0.7423 0.1226
18 C 0.8332 0.2297 0.3824
19 O 0.0222 0.2449 0.0704
20 O 0.0802 0.7420 0.4707
21 O 0.1094 0.7344 0.7079
22 O 0.1265 0.7427 0.2126
23 O 0.1738 0.2357 0.8460
24 O 0.2390 0.5468 0.0584
25 O 0.2435 0.4289 0.4155
26 O 0.2472 0.0521 0.4318
27 O 0.2497 0.9257 0.0661
28 O 0.3192 0.7143 0.6570
29 O 0.3715 0.2170 0.2819
30 O 0.3732 0.2577 0.7802
31 O 0.4207 0.2348 0.0224
32 O 0.4854 0.7559 0.4400
33 O 0.5146 0.2559 0.5600
34 O 0.5793 0.7348 0.9776
35 O 0.6268 0.7577 0.2198
36 O 0.6285 0.7170 0.7181
37 O 0.6808 0.2143 0.3430
38 O 0.7503 0.4257 0.9339
39 O 0.7528 0.5521 0.5682
40 O 0.7565 0.9289 0.5845
41 O 0.7610 0.0468 0.9416
42 O 0.8262 0.7357 0.1540
43 O 0.8735 0.2427 0.7874
44 O 0.8906 0.2344 0.2921
45 O 0.9198 0.2420 0.5293
46 O 0.9778 0.7449 0.9296

Calculated values
- total moment (μB per formula unit) = 7.00
- formation enthalpy at 0 K (eV/atom) = -2.257
- excess energy over the best structure of this formula in the dataset (meV per atom) = 11
- V (Å³ per cell) = 543.9
- space group = No. 4
- crystal system = monoclinic
- calculated total energy (Ry/atom) = -0.516



Repeat the fourth record exactly.
Compound: Li3Mn2P2C2O14
Source: the Materials Project database
Functional: PBE+U
Structure: relaxed

Unit cell a=9.4315 b=6.4659 c=10.0591 alpha=90.00 beta=117.54 gamma=90.00
Element x y z (fractional)
1 Li 0.0012 0.0000 0.2479
2 Li 0.0033 0.4740 0.2499
3 Li 0.4880 0.9483 0.2503
4 Li 0.5120 0.4483 0.7497
5 Li 0.9967 0.9740 0.7501
6 Li 0.9988 0.5000 0.7521
7 Mn 0.2346 0.2405 0.0653
8 Mn 0.2772 0.7416 0.4411
9 Mn 0.7228 0.2416 0.5589
10 Mn 0.7654 0.7405 0.9347
11 P 0.1496 0.7383 0.0690
12 P 0.3445 0.2381 0.4223
13 P 0.6555 0.7381 0.5777
14 P 0.8504 0.2383 0.9310
15 C 0.1668 0.7297 0.6176
16 C 0.3289 0.2423 0.8774
17 C 0.6711 0.7423 0.1226
18 C 0.8332 0.2297 0.3824
19 O 0.0222 0.2449 0.0704
20 O 0.0802 0.7420 0.4707
21 O 0.1094 0.7344 0.7079
22 O 0.1265 0.7427 0.2126
23 O 0.1738 0.2357 0.8460
24 O 0.2390 0.5468 0.0584
25 O 0.2435 0.4289 0.4155
26 O 0.2472 0.0521 0.4318
27 O 0.2497 0.9257 0.0661
28 O 0.3192 0.7143 0.6570
29 O 0.3715 0.2170 0.2819
30 O 0.3732 0.2577 0.7802
31 O 0.4207 0.2348 0.0224
32 O 0.4854 0.7559 0.4400
33 O 0.5146 0.2559 0.5600
34 O 0.5793 0.7348 0.9776
35 O 0.6268 0.7577 0.2198
36 O 0.6285 0.7170 0.7181
37 O 0.6808 0.2143 0.3430
38 O 0.7503 0.4257 0.9339
39 O 0.7528 0.5521 0.5682
40 O 0.7565 0.9289 0.5845
41 O 0.7610 0.0468 0.9416
42 O 0.8262 0.7357 0.1540
43 O 0.8735 0.2427 0.7874
44 O 0.8906 0.2344 0.2921
45 O 0.9198 0.2420 0.5293
46 O 0.9778 0.7449 0.9296

Calculated values
- total moment (μB per formula unit) = 7.00
- formation enthalpy at 0 K (eV/atom) = -2.257
- excess energy over the best structure of this formula in the dataset (meV per atom) = 11
- V (Å³ per cell) = 543.9
- space group = No. 4
- crystal system = monoclinic
- calculated total energy (Ry/atom) = -0.516